Compound: ZrAl2Zn
Source: the Materials Project
Functional: meta-GGA r2SCAN
Structure: optimized geometry

Cell: 4.0739 4.0739 4.0228 Å, 90.00 90.00 90.00°
Last column: nearest neighbours and their distance in Å.
Space group P4/mmm (No. 123)
Symmetry-distinct sites (fractional):
1 Zr 0.0000 0.0000 0.0000 (multiplicity 1)  8 Al 2.86, 4 Zn 2.88
2 Al 0.0000 0.5000 0.5000 (multiplicity 2)  4 Zr 2.86, 4 Zn 2.86, 4 Al 2.88
3 Zn 0.5000 0.5000 0.0000 (multiplicity 1)  8 Al 2.86, 4 Zr 2.88

Calculated values
DFT formation energy = -0.519 eV per atom
V = 67 Å³/f.u.
spin magnetization = 0.0 Bohr magnetons per cell